This record from the Materials Project database describes a relaxed structure of Ga2Te3H6O12. The functional is PBE-GGA. Values from VASP.

Output
* piezoelectric modulus e_max: 1.2 C/m²
* magnetization: 0.0 μB/cell
* corrected total energy (MP2020 scheme): -0.2091 Ha/atom
* E: -5.331 eV per atom
* DFT formation energy: -1549 meV/atom
* density: 4.50 g/cm3

Structure (Quantum ESPRESSO input):
```
&SYSTEM
  ibrav = 0, nat = 46, ntyp = 4
/
ATOMIC_SPECIES
Ga 69.72 Ga.upf
Te 127.60 Te.upf
H 1.01 H.upf
O 16.00 O.upf
CELL_PARAMETERS angstrom
-2.323 -2.877 7.875
-5.995 -6.300 -0.253
3.183 -7.876 1.879
ATOMIC_POSITIONS crystal
Ga 0.092 0.092 0.092
Ga 0.592 0.592 0.592
Ga 0.337 0.337 0.337
Ga 0.837 0.837 0.837
Te 0.901 0.441 0.811
Te 0.441 0.811 0.901
Te 0.811 0.901 0.441
Te 0.941 0.401 0.311
Te 0.401 0.311 0.941
Te 0.311 0.941 0.401
H 0.348 0.356 0.632
H 0.356 0.632 0.348
H 0.632 0.348 0.356
H 0.856 0.848 0.132
H 0.848 0.132 0.856
H 0.132 0.856 0.848
H 0.309 0.172 0.683
H 0.172 0.683 0.309
H 0.683 0.309 0.172
H 0.672 0.809 0.183
H 0.809 0.183 0.672
H 0.183 0.672 0.809
O 0.883 0.229 0.998
O 0.229 0.998 0.883
O 0.998 0.883 0.229
O 0.729 0.383 0.498
O 0.383 0.498 0.729
O 0.498 0.729 0.383
O 0.176 0.304 0.965
O 0.304 0.965 0.176
O 0.965 0.176 0.304
O 0.804 0.676 0.465
O 0.676 0.465 0.804
O 0.465 0.804 0.676
O 0.816 0.600 0.946
O 0.600 0.946 0.816
O 0.946 0.816 0.600
O 0.100 0.316 0.446
O 0.316 0.446 0.100
O 0.446 0.100 0.316
O 0.363 0.261 0.585
O 0.261 0.585 0.363
O 0.585 0.363 0.261
O 0.761 0.863 0.085
O 0.863 0.085 0.761
O 0.085 0.761 0.863
```

This record from the Materials Project database describes a relaxed structure of Rb8Ga5H15. The functional is PBE-GGA. Values from VASP.

Output
* magnetization: 0.0 μB/cell
* corrected total energy (MP2020 scheme): -0.1071 Ha/atom
* E: -2.819 eV per atom
* DFT formation energy: -277 meV/atom
* density: 2.91 g/cm3

Structure (Quantum ESPRESSO input):
```
&SYSTEM
  ibrav = 0, nat = 56, ntyp = 3
/
ATOMIC_SPECIES
Rb 85.47 Rb.upf
Ga 69.72 Ga.upf
H 1.01 H.upf
CELL_PARAMETERS angstrom
0.000 8.422 8.422
8.422 0.000 8.422
8.422 8.422 0.000
ATOMIC_POSITIONS crystal
Rb 0.625 0.125 0.125
Rb 0.125 0.125 0.625
Rb 0.125 0.125 0.125
Rb 0.125 0.625 0.125
Rb 0.578 0.922 0.578
Rb 0.922 0.578 0.922
Rb 0.578 0.922 0.922
Rb 0.922 0.578 0.578
Rb 0.922 0.922 0.578
Rb 0.578 0.578 0.922
Rb 0.672 0.328 0.672
Rb 0.328 0.672 0.328
Rb 0.672 0.328 0.328
Rb 0.328 0.672 0.672
Rb 0.328 0.328 0.672
Rb 0.672 0.672 0.328
Ga 0.995 0.335 0.335
Ga 0.335 0.335 0.995
Ga 0.335 0.335 0.335
Ga 0.335 0.995 0.335
Ga 0.255 0.915 0.915
Ga 0.915 0.915 0.255
Ga 0.915 0.915 0.915
Ga 0.915 0.255 0.915
Ga 0.250 0.250 0.250
Ga 0.000 0.000 0.000
H 0.456 0.220 0.404
H 0.404 0.920 0.456
H 0.920 0.404 0.220
H 0.220 0.456 0.920
H 0.404 0.220 0.920
H 0.456 0.920 0.220
H 0.220 0.404 0.456
H 0.920 0.456 0.404
H 0.920 0.220 0.456
H 0.220 0.920 0.404
H 0.456 0.404 0.920
H 0.404 0.456 0.220
H 0.794 0.030 0.846
H 0.846 0.330 0.794
H 0.330 0.846 0.030
H 0.030 0.794 0.330
H 0.846 0.030 0.330
H 0.794 0.330 0.030
H 0.030 0.846 0.794
H 0.330 0.794 0.846
H 0.330 0.030 0.794
H 0.030 0.330 0.846
H 0.794 0.846 0.330
H 0.846 0.794 0.030
H 0.125 0.625 0.625
H 0.625 0.625 0.125
H 0.625 0.625 0.625
H 0.625 0.125 0.625
H 0.750 0.750 0.750
H 0.500 0.500 0.500
```